Here is an optimized crystal structure of Ce2InAu2 from the Materials Project database. Energies are from meta-GGA r2SCAN.

a b c (Å): 8.1344 8.1344 3.8648
angles (deg): 90.00 90.00 90.00
With the nearest neighbours (Å) after each atom.
Fractional positions:
Au (0.1263, 0.6263, 0.0000)  1 Au 2.91, 6 Ce 3.00-3.14, 2 In 3.21
In (0.0000, 0.0000, 0.0000)  4 Au 3.21, 8 Ce 3.57
Au (0.8737, 0.3737, 0.0000)  1 Au 2.91, 6 Ce 3.00-3.14, 2 In 3.21
In (0.5000, 0.5000, 0.0000)  4 Au 3.21, 8 Ce 3.57
Ce (0.1744, 0.3256, 0.5000)  6 Au 3.00-3.14
Ce (0.6743, 0.1743, 0.5000)  6 Au 3.00-3.14
Au (0.3738, 0.1262, 0.0000)  1 Au 2.90, 6 Ce 3.00-3.14, 2 In 3.21
Au (0.6262, 0.8738, 0.0000)  1 Au 2.90, 6 Ce 3.00-3.14, 2 In 3.21
Ce (0.3257, 0.8257, 0.5000)  6 Au 3.00-3.14
Ce (0.8256, 0.6744, 0.5000)  6 Au 3.00-3.14

Calculated volume ... 256 Å³ per cell
Magnetic moment ... 4.1 μB/cell
E ... -189.4 eV per formula unit
Formation enthalpy at 0 K ... -0.80 eV per atom
SG ... No. 127


Here is an optimized crystal structure of CeInAu2 from the Materials Project database. Energies are from meta-GGA r2SCAN.

a b c (Å): 5.0370 5.0370 5.0370
angles (deg): 60.00 60.00 60.00
With the nearest neighbours (Å) after each atom.
Fractional positions:
Ce (0.0000, 0.0000, 0.0000)  8 Au 3.08
Au (0.2500, 0.2500, 0.2500)  4 In 3.08, 4 Ce 3.08
Au (0.7500, 0.7500, 0.7500)  4 In 3.08, 4 Ce 3.08
In (0.5000, 0.5000, 0.5000)  8 Au 3.08

Calculated volume ... 90 Å³ per cell
Magnetic moment ... 1.0 μB/cell
E ... -157.6 eV per formula unit
Formation enthalpy at 0 K ... -0.75 eV per atom
SG ... No. 225